# GGA-PBE CaCuP2O7, relaxed
# ΔE_f: -28.45 eV/f.u.
# Corrected total energy (MP2020 scheme): -0.53465 Ry per atom
# Electronic total energy: -150.4 eV per cell
# Crystal system: triclinic
# Energy above the lowest structure with this stoichiometry: 46 meV/atom
data_CaCuP2O7
_chemical_formula_sum 'Ca2 Cu2 P4 O14'
_symmetry_space_group_name_H-M 'P -1'
_symmetry_Int_Tables_number 2
_cell_length_a 6.482
_cell_length_b 6.574
_cell_length_c 6.712
_cell_angle_alpha 66.33
_cell_angle_beta 87.35
_cell_angle_gamma 82.55
loop_
_symmetry_equiv_pos_as_xyz
'x,y,z'
'-x,-y,-z'
loop_
_atom_site_label
_atom_site_fract_x
_atom_site_fract_y
_atom_site_fract_z
Ca1 0.143 0.229 0.326
Cu1 0.352 0.399 0.725
P1 0.143 0.729 0.252
P2 0.373 0.857 0.832
O1 0.026 0.399 0.780
O2 0.068 0.884 0.363
O3 0.222 0.890 0.020
O4 0.273 0.706 0.753
O5 0.331 0.550 0.367
O6 0.375 0.099 0.661
O7 0.410 0.246 0.063

# GGA-PBE CaCuP2O7, relaxed
# ΔE_f: -28.83 eV/f.u.
# Corrected total energy (MP2020 scheme): -0.53716 Ry per atom
# Electronic total energy: -151.2 eV per cell
# Crystal system: triclinic
# Energy above the lowest structure with this stoichiometry: 12 meV/atom
data_CaCuP2O7
_chemical_formula_sum 'Ca2 Cu2 P4 O14'
_symmetry_space_group_name_H-M 'P -1'
_symmetry_Int_Tables_number 2
_cell_length_a 6.088
_cell_length_b 6.514
_cell_length_c 7.467
_cell_angle_alpha 81.60
_cell_angle_beta 89.50
_cell_angle_gamma 68.50
loop_
_symmetry_equiv_pos_as_xyz
'x,y,z'
'-x,-y,-z'
loop_
_atom_site_label
_atom_site_fract_x
_atom_site_fract_y
_atom_site_fract_z
Ca1 0.203 0.285 0.363
Cu1 0.234 0.877 0.829
P1 0.259 0.783 0.377
P2 0.343 0.338 0.882
O1 0.090 0.006 0.268
O2 0.136 0.627 0.452
O3 0.166 0.582 0.854
O4 0.246 0.183 0.806
O5 0.400 0.841 0.516
O6 0.431 0.651 0.231
O7 0.438 0.261 0.082

# GGA-PBE Ca3Cu3P4O16, relaxed
# ΔE_f: -68.15 eV/f.u.
# Corrected total energy (MP2020 scheme): -0.52944 Ry per atom
# Electronic total energy: -352.6 eV per cell
# Crystal system: monoclinic
data_Ca3Cu3P4O16
_chemical_formula_sum 'Ca6 Cu6 P8 O32'
_symmetry_space_group_name_H-M 'P 1 21/c 1'
_symmetry_Int_Tables_number 14
_cell_length_a 9.026
_cell_length_b 4.967
_cell_length_c 16.665
_cell_angle_alpha 90.00
_cell_angle_beta 117.78
_cell_angle_gamma 90.00
loop_
_symmetry_equiv_pos_as_xyz
'x,y,z'
'-x,-y,-z'
'-x,y+1/2,-z+1/2'
'x,-y+1/2,z+1/2'
loop_
_atom_site_label
_atom_site_fract_x
_atom_site_fract_y
_atom_site_fract_z
Ca1 0.000 0.000 0.000
Ca2 0.301 0.030 0.265
Cu1 0.208 0.530 0.380
Cu2 0.500 0.000 0.500
P1 0.038 0.513 0.160
P2 0.436 0.509 0.594
O1 0.034 0.679 0.643
O2 0.092 0.149 0.600
O3 0.136 0.577 0.850
O4 0.180 0.041 0.760
O5 0.265 0.555 0.509
O6 0.429 0.192 0.918
O7 0.433 0.593 0.680
O8 0.498 0.211 0.600

# GGA-PBE CaCu3P4O14, relaxed
# ΔE_f: -50.54 eV/f.u.
# Corrected total energy (MP2020 scheme): -0.52039 Ry per atom
# Electronic total energy: -292.3 eV per cell
# Crystal system: monoclinic
data_CaCu3P4O14
_chemical_formula_sum 'Ca2 Cu6 P8 O28'
_symmetry_space_group_name_H-M 'P 1 21/c 1'
_symmetry_Int_Tables_number 14
_cell_length_a 7.335
_cell_length_b 7.857
_cell_length_c 9.458
_cell_angle_alpha 90.00
_cell_angle_beta 110.33
_cell_angle_gamma 90.00
loop_
_symmetry_equiv_pos_as_xyz
'x,y,z'
'-x,-y,-z'
'-x,y+1/2,-z+1/2'
'x,-y+1/2,z+1/2'
loop_
_atom_site_label
_atom_site_fract_x
_atom_site_fract_y
_atom_site_fract_z
Ca1 0.000 0.000 0.000
Cu1 0.310 0.130 0.478
Cu2 0.500 0.000 0.000
P1 0.094 0.053 0.700
P2 0.393 0.708 0.196
O1 0.116 0.511 0.818
O2 0.125 0.182 0.588
O3 0.183 0.628 0.172
O4 0.202 0.102 0.866
O5 0.342 0.619 0.615
O6 0.491 0.715 0.370
O7 0.496 0.588 0.122

# GGA-PBE CaCuP2O7, relaxed
# ΔE_f: -28.35 eV/f.u.
# Corrected total energy (MP2020 scheme): -0.53401 Ry per atom
# Electronic total energy: -300.4 eV per cell
# Crystal system: monoclinic
# Energy above the lowest structure with this stoichiometry: 55 meV/atom
data_CaCuP2O7
_chemical_formula_sum 'Ca4 Cu4 P8 O28'
_symmetry_space_group_name_H-M 'P 1 21/c 1'
_symmetry_Int_Tables_number 14
_cell_length_a 7.432
_cell_length_b 8.918
_cell_length_c 9.176
_cell_angle_alpha 90.00
_cell_angle_beta 119.06
_cell_angle_gamma 90.00
loop_
_symmetry_equiv_pos_as_xyz
'x,y,z'
'-x,-y,-z'
'-x,y+1/2,-z+1/2'
'x,-y+1/2,z+1/2'
loop_
_atom_site_label
_atom_site_fract_x
_atom_site_fract_y
_atom_site_fract_z
Ca1 0.227 0.044 0.371
Cu1 0.280 0.083 0.891
P1 0.014 0.741 0.962
P2 0.447 0.719 0.265
O1 0.049 0.615 0.391
O2 0.052 0.103 0.658
O3 0.119 0.242 0.953
O4 0.232 0.672 0.104
O5 0.399 0.223 0.300
O6 0.428 0.638 0.845
O7 0.487 0.578 0.379

# GGA-PBE CaCuP2O7, relaxed
# ΔE_f: -28.96 eV/f.u.
# Corrected total energy (MP2020 scheme): -0.53803 Ry per atom
# Electronic total energy: -302.9 eV per cell
# Crystal system: monoclinic
# Energy above the lowest structure with this stoichiometry: 0 meV/atom
data_CaCuP2O7
_chemical_formula_sum 'Ca4 Cu4 P8 O28'
_symmetry_space_group_name_H-M 'P 1 21/c 1'
_symmetry_Int_Tables_number 14
_cell_length_a 5.302
_cell_length_b 8.137
_cell_length_c 13.420
_cell_angle_alpha 90.00
_cell_angle_beta 111.42
_cell_angle_gamma 90.00
loop_
_symmetry_equiv_pos_as_xyz
'x,y,z'
'-x,-y,-z'
'-x,y+1/2,-z+1/2'
'x,-y+1/2,z+1/2'
loop_
_atom_site_label
_atom_site_fract_x
_atom_site_fract_y
_atom_site_fract_z
Ca1 0.015 0.182 0.226
Cu1 0.318 0.641 0.610
P1 0.326 0.202 0.016
P2 0.412 0.028 0.666
O1 0.117 0.189 0.903
O2 0.180 0.042 0.707
O3 0.251 0.102 0.100
O4 0.312 0.106 0.548
O5 0.330 0.622 0.765
O6 0.376 0.666 0.472
O7 0.500 0.149 0.344

# GGA-PBE SrCaCuP2O8, relaxed
# ΔE_f: -36.90 eV/f.u.
# Corrected total energy (MP2020 scheme): -0.53770 Ry per atom
# Electronic total energy: -179.2 eV per cell
# Crystal system: triclinic
data_SrCaCuP2O8
_chemical_formula_sum 'Sr2 Ca2 Cu2 P4 O16'
_symmetry_space_group_name_H-M 'P -1'
_symmetry_Int_Tables_number 2
_cell_length_a 5.926
_cell_length_b 6.915
_cell_length_c 9.328
_cell_angle_alpha 108.66
_cell_angle_beta 102.56
_cell_angle_gamma 99.82
loop_
_symmetry_equiv_pos_as_xyz
'x,y,z'
'-x,-y,-z'
loop_
_atom_site_label
_atom_site_fract_x
_atom_site_fract_y
_atom_site_fract_z
Sr1 0.225 0.187 0.435
Ca1 0.493 0.416 0.161
Cu1 0.160 0.844 0.046
P1 0.104 0.580 0.268
P2 0.341 0.031 0.796
O1 0.081 0.407 0.104
O2 0.118 0.454 0.675
O3 0.146 0.940 0.864
O4 0.150 0.798 0.248
O5 0.224 0.991 0.623
O6 0.334 0.562 0.379
O7 0.450 0.085 0.190
O8 0.458 0.269 0.898

# GGA-PBE CaTiCuP3O12, relaxed
# ΔE_f: -48.75 eV/f.u.
# Corrected total energy (MP2020 scheme): -0.56499 Ry per atom
# Electronic total energy: -780.7 eV per cell
# Crystal system: trigonal
data_CaTiCuP3O12
_chemical_formula_sum 'Ca6 Ti6 Cu6 P18 O72'
_symmetry_space_group_name_H-M 'R 3 c'
_symmetry_Int_Tables_number 161
_symmetry_space_group_name_Hall 'R 3 -2"c'
_cell_length_a 8.6309
_cell_length_b 8.6309
_cell_length_c 21.7786
_cell_angle_alpha 90.00
_cell_angle_beta 90.00
_cell_angle_gamma 120.00
loop_
_atom_site_label
_atom_site_fract_x
_atom_site_fract_y
_atom_site_fract_z
Ca1 0.0000 0.0000 0.0000
Ti1 0.0000 0.0000 0.3505
Cu1 0.0000 0.0000 0.1442
P1 0.0444 0.3770 0.4127
O1 0.0181 0.2069 0.6864
O2 0.0282 0.1888 0.4136
O3 0.1552 0.4737 0.4710
O4 0.1670 0.4769 0.7473

# GGA-PBE CaUCuP2O14, relaxed
# ΔE_f: -36.90 eV/f.u.
# Corrected total energy (MP2020 scheme): -0.51988 Ry per atom
# Electronic total energy: -499.1 eV per cell
# Crystal system: monoclinic
data_CaUCuP2O14
_chemical_formula_sum 'Ca4 U4 Cu4 P8 O56'
_symmetry_space_group_name_H-M 'P 1 21/c 1'
_symmetry_Int_Tables_number 14
_cell_length_a 13.096
_cell_length_b 7.076
_cell_length_c 12.708
_cell_angle_alpha 90.00
_cell_angle_beta 94.16
_cell_angle_gamma 90.00
loop_
_symmetry_equiv_pos_as_xyz
'x,y,z'
'-x,-y,-z'
'-x,y+1/2,-z+1/2'
'x,-y+1/2,z+1/2'
loop_
_atom_site_label
_atom_site_fract_x
_atom_site_fract_y
_atom_site_fract_z
Ca1 0.169 0.017 0.261
U1 0.315 0.518 0.237
Cu1 0.000 0.000 0.500
Cu2 0.500 0.000 0.000
P1 0.076 0.517 0.248
P2 0.403 0.010 0.219
O1 0.000 0.018 0.166
O2 0.006 0.014 0.352
O3 0.043 0.738 0.996
O4 0.149 0.688 0.247
O5 0.150 0.154 0.747
O6 0.172 0.094 0.466
O7 0.203 0.021 0.066
O8 0.293 0.535 0.094
O9 0.335 0.000 0.880
O10 0.338 0.650 0.765
O11 0.341 0.193 0.232
O12 0.402 0.541 0.598
O13 0.488 0.526 0.229
O14 0.500 0.248 0.011

Results for theoretical density: 3.549 3.386 3.470 3.760 3.468 3.421 3.708 3.095 3.549 (in g cm⁻³, following the order of the records).